# 1
Here is an optimized crystal structure of Th14Ag51 from the Materials Project. Energies are from PBE.

Unit cell a=13.001 b=13.001 c=9.524 alpha=90.00 beta=90.00 gamma=120.00
Fractional coordinates of all 65 atoms:
Th 0.000 0.000 0.194
Th 0.000 0.000 0.806
Th 0.110 0.379 0.500
Th 0.146 0.674 0.000
Th 0.270 0.890 0.500
Th 0.326 0.472 0.000
Th 0.400 0.286 0.500
Th 0.470 0.145 0.000
Th 0.528 0.854 0.000
Th 0.621 0.730 0.500
Th 0.675 0.530 0.000
Th 0.714 0.114 0.500
Th 0.855 0.325 0.000
Th 0.886 0.600 0.500
Ag 0.059 0.239 0.000
Ag 0.075 0.805 0.261
Ag 0.075 0.805 0.739
Ag 0.101 0.436 0.169
Ag 0.101 0.436 0.831
Ag 0.117 0.618 0.349
Ag 0.117 0.618 0.651
Ag 0.136 0.108 0.500
Ag 0.180 0.941 0.000
Ag 0.195 0.269 0.261
Ag 0.195 0.269 0.739
Ag 0.241 0.181 0.000
Ag 0.265 0.075 0.266
Ag 0.265 0.075 0.734
Ag 0.333 0.667 0.204
Ag 0.333 0.667 0.500
Ag 0.333 0.667 0.796
Ag 0.335 0.899 0.169
Ag 0.335 0.899 0.831
Ag 0.382 0.498 0.349
Ag 0.382 0.498 0.651
Ag 0.440 0.338 0.168
Ag 0.440 0.338 0.832
Ag 0.492 0.115 0.347
Ag 0.492 0.115 0.653
Ag 0.502 0.883 0.349
Ag 0.502 0.883 0.651
Ag 0.564 0.665 0.169
Ag 0.564 0.665 0.831
Ag 0.623 0.508 0.347
Ag 0.623 0.508 0.653
Ag 0.662 0.101 0.168
Ag 0.662 0.101 0.832
Ag 0.667 0.333 0.204
Ag 0.667 0.333 0.500
Ag 0.667 0.333 0.796
Ag 0.731 0.925 0.261
Ag 0.731 0.925 0.739
Ag 0.761 0.820 0.000
Ag 0.810 0.735 0.266
Ag 0.810 0.735 0.734
Ag 0.819 0.060 0.000
Ag 0.885 0.377 0.347
Ag 0.885 0.377 0.653
Ag 0.892 0.028 0.500
Ag 0.899 0.560 0.168
Ag 0.899 0.560 0.832
Ag 0.925 0.190 0.266
Ag 0.925 0.190 0.734
Ag 0.940 0.759 0.000
Ag 0.972 0.864 0.500

Output
Space group = P-6
Raw total energy = -3.97 eV per atom
ΔH_f (0 K) = -148 meV per atom

# 2
Here is an optimized crystal structure of Lu2MgS4 from the Materials Project. Energies are from PBE.

Unit cell a=13.300 b=7.752 c=6.444 alpha=90.00 beta=90.00 gamma=90.00
Fractional coordinates of all 28 atoms:
Lu 0.000 0.000 0.000
Lu 0.000 0.500 0.000
Lu 0.232 0.250 0.499
Lu 0.268 0.750 0.999
Lu 0.500 0.000 0.500
Lu 0.500 0.500 0.500
Lu 0.732 0.250 0.001
Lu 0.768 0.750 0.501
Mg 0.092 0.750 0.570
Mg 0.408 0.250 0.070
Mg 0.592 0.750 0.930
Mg 0.908 0.250 0.430
S 0.072 0.250 0.251
S 0.092 0.750 0.199
S 0.168 0.506 0.755
S 0.168 0.994 0.755
S 0.332 0.006 0.255
S 0.332 0.494 0.255
S 0.408 0.250 0.699
S 0.428 0.750 0.751
S 0.572 0.250 0.249
S 0.592 0.750 0.301
S 0.668 0.506 0.745
S 0.668 0.994 0.745
S 0.832 0.006 0.245
S 0.832 0.494 0.245
S 0.908 0.250 0.801
S 0.928 0.750 0.749

Output
Space group = Pnma
Total energy after the MP2020 corrections = -6.031 eV per atom
Raw total energy = -5.74 eV per atom
ΔE to the lowest computed polymorph = 24 kJ/mol of formula units
ΔH_f (0 K) = -2147 meV per atom

# 3
Here is an optimized crystal structure of KTbTi4O12 from the Materials Project. Energies are from PBE.

Unit cell a=7.774 b=5.479 c=5.479 alpha=89.97 beta=90.00 gamma=90.00
Fractional coordinates of all 18 atoms:
K 0.000 0.000 0.000
Tb 0.500 0.532 0.532
Ti 0.243 0.020 0.506
Ti 0.243 0.506 0.020
Ti 0.757 0.020 0.506
Ti 0.757 0.506 0.020
O 0.000 0.021 0.497
O 0.000 0.497 0.021
O 0.255 0.743 0.743
O 0.271 0.259 0.760
O 0.271 0.760 0.259
O 0.293 0.281 0.281
O 0.500 0.528 0.966
O 0.500 0.966 0.528
O 0.707 0.281 0.281
O 0.729 0.259 0.760
O 0.729 0.760 0.259
O 0.745 0.743 0.743

Output
Space group = Amm2
Total energy after the MP2020 corrections = -8.276 eV per atom
Raw total energy = -7.82 eV per atom
ΔH_f (0 K) = -2904 meV per atom

# 4
Here is an optimized crystal structure of InNi2Sn from the Materials Project. Energies are from PBE.

Unit cell a=4.432 b=5.222 c=9.136 alpha=90.00 beta=90.00 gamma=90.00
Fractional coordinates of all 12 atoms:
In 0.000 0.000 0.000
In 0.000 0.000 0.331
In 0.000 0.500 0.498
Ni 0.500 0.000 0.165
Ni 0.500 0.250 0.415
Ni 0.500 0.252 0.914
Ni 0.500 0.500 0.666
Ni 0.500 0.748 0.914
Ni 0.500 0.750 0.415
Sn 0.000 0.500 0.831
Sn 0.500 0.000 0.663
Sn 0.500 0.500 0.167

Output
Space group = Pmm2
Raw total energy = -4.79 eV per atom
ΔH_f (0 K) = -211 meV per atom

# 5
Here is an optimized crystal structure of CsLaMgNb2O7 from the Materials Project. Energies are from PBE.

Unit cell a=3.937 b=5.109 c=11.241 alpha=90.00 beta=90.00 gamma=90.00
Fractional coordinates of all 12 atoms:
Cs 0.000 0.000 0.000
La 0.000 0.000 0.499
Mg 0.000 0.500 0.500
Nb 0.500 0.500 0.295
Nb 0.500 0.500 0.705
O 0.000 0.500 0.331
O 0.000 0.500 0.669
O 0.500 0.000 0.363
O 0.500 0.000 0.636
O 0.500 0.500 0.137
O 0.500 0.500 0.500
O 0.500 0.500 0.863

Output
Space group = Pmm2
Total energy after the MP2020 corrections = -7.524 eV per atom
Raw total energy = -7.12 eV per atom
ΔE to the lowest computed polymorph = 522 kJ/mol of formula units
ΔH_f (0 K) = -2335 meV per atom

# 6
Here is an optimized crystal structure of Na3ScN2 from the Materials Project. Energies are from PBE.

Unit cell a=9.718 b=9.718 c=9.718 alpha=109.47 beta=109.47 gamma=109.47
Fractional coordinates of all 48 atoms:
Na 0.027 0.555 0.788
Na 0.028 0.767 0.055
Na 0.055 0.028 0.767
Na 0.212 0.973 0.445
Na 0.233 0.945 0.972
Na 0.239 0.712 0.267
Na 0.261 0.528 0.473
Na 0.267 0.239 0.712
Na 0.288 0.733 0.761
Na 0.445 0.212 0.973
Na 0.472 0.527 0.739
Na 0.473 0.261 0.528
Na 0.527 0.739 0.472
Na 0.528 0.473 0.261
Na 0.555 0.788 0.027
Na 0.712 0.267 0.239
Na 0.733 0.761 0.288
Na 0.739 0.472 0.527
Na 0.761 0.288 0.733
Na 0.767 0.055 0.028
Na 0.788 0.027 0.555
Na 0.945 0.972 0.233
Na 0.972 0.233 0.945
Na 0.973 0.445 0.212
Sc 0.000 0.278 0.500
Sc 0.000 0.722 0.500
Sc 0.222 0.222 0.222
Sc 0.278 0.500 0.000
Sc 0.500 0.000 0.278
Sc 0.500 0.000 0.722
Sc 0.722 0.500 0.000
Sc 0.778 0.778 0.778
N 0.000 0.000 0.000
N 0.000 0.500 0.500
N 0.055 0.305 0.750
N 0.195 0.250 0.445
N 0.250 0.445 0.195
N 0.250 0.945 0.695
N 0.305 0.750 0.055
N 0.445 0.195 0.250
N 0.500 0.000 0.500
N 0.500 0.500 0.000
N 0.555 0.805 0.750
N 0.695 0.250 0.945
N 0.750 0.055 0.305
N 0.750 0.555 0.805
N 0.805 0.750 0.555
N 0.945 0.695 0.250

Output
Space group = Ia-3
Total energy after the MP2020 corrections = -5.035 eV per atom
Raw total energy = -4.91 eV per atom
ΔH_f (0 K) = -539 meV per atom